Density functional theory data (PBE) for a relaxed structure of Te6Mo2W.

crystal system: trigonal
formation energy from the elements: -210 meV/atom

abc: 3.552 3.552 32.574
angles: 90.00 90.00 120.00
Fractional positions:
Te1 0.000 0.000 0.000
Te2 0.000 0.000 0.111
Te3 0.000 0.000 0.463
Te4 0.000 0.000 0.574
Te5 0.667 0.333 0.231
Te6 0.667 0.333 0.343
Mo1 0.000 0.000 0.287
Mo2 0.667 0.333 0.056
W1 0.667 0.333 0.518